Arrangement i

VASP calculation (PBE+U) on a relaxed LiCoPO4 crystal.

Properties
The crystal system is triclinic. The calculation puts the total magnetization at 12.00 μB/cell.

abc: 5.453 6.153 10.627
angles: 89.99 75.90 89.93
Fractional positions:
Li  0.000  0.000  0.000
Li  0.041  0.501  0.097
Li  0.499  0.564  0.499
Li  0.540  0.065  0.596
Co  0.134  0.865  0.396
Co  0.406  0.201  0.199
Co  0.635  0.701  0.896
Co  0.905  0.365  0.699
P  0.004  0.375  0.438
P  0.035  0.876  0.658
P  0.505  0.190  0.938
P  0.535  0.690  0.158
O  0.042  0.080  0.741
O  0.072  0.176  0.343
O  0.196  0.388  0.523
O  0.241  0.223  0.037
O  0.298  0.843  0.559
O  0.343  0.678  0.072
O  0.467  0.889  0.253
O  0.498  0.986  0.854
O  0.541  0.485  0.242
O  0.573  0.389  0.843
O  0.697  0.176  0.024
O  0.740  0.344  0.537
O  0.799  0.722  0.059
O  0.842  0.889  0.572
O  0.967  0.676  0.753
O  0.997  0.580  0.354

Arrangement ii

VASP calculation (PBE+U) on a relaxed LiCoPO4 crystal.

Properties
The crystal system is monoclinic. The calculation puts the total magnetization at 0.00 μB/cell.

abc: 8.045 5.324 8.410
angles: 90.00 105.03 90.00
Fractional positions:
Li  0.000  0.160  0.000
Li  0.000  0.840  0.500
Li  0.501  0.331  0.684
Li  0.501  0.669  0.184
Co  0.105  0.347  0.370
Co  0.105  0.653  0.870
Co  0.623  0.167  0.065
Co  0.623  0.833  0.565
P  0.384  0.167  0.305
P  0.384  0.833  0.805
P  0.870  0.329  0.621
P  0.870  0.671  0.121
O  0.007  0.326  0.791
O  0.007  0.674  0.291
O  0.197  0.173  0.190
O  0.197  0.827  0.690
O  0.360  0.303  0.463
O  0.360  0.697  0.963
O  0.454  0.104  0.849
O  0.454  0.896  0.349
O  0.511  0.311  0.228
O  0.511  0.689  0.728
O  0.711  0.179  0.636
O  0.711  0.821  0.136
O  0.825  0.390  0.073
O  0.825  0.610  0.573
O  0.947  0.202  0.488
O  0.947  0.798  0.988

Quick look at relative energies in meV/atom: arrangement i 32; arrangement ii 0.

Arrangement i

VASP calculation (PBE+U) on a relaxed Li5Fe8B8O24 crystal.

Properties
The crystal system is triclinic. The calculation puts the total magnetization at 35.00 μB/cell.

abc: 5.288 9.034 11.351
angles: 66.72 77.85 89.85
Fractional positions:
Li  0.000  0.000  0.000
Li  0.058  0.367  0.251
Li  0.252  0.250  0.495
Li  0.316  0.638  0.744
Li  0.505  0.501  0.997
Fe  0.046  0.025  0.267
Fe  0.234  0.567  0.528
Fe  0.290  0.955  0.778
Fe  0.498  0.144  0.026
Fe  0.555  0.540  0.270
Fe  0.738  0.059  0.530
Fe  0.801  0.437  0.779
Fe  0.988  0.657  0.022
B  0.046  0.689  0.275
B  0.238  0.908  0.524
B  0.290  0.284  0.780
B  0.497  0.815  0.025
B  0.526  0.193  0.280
B  0.745  0.396  0.526
B  0.787  0.770  0.777
B  0.990  0.314  0.037
O  0.021  0.953  0.468
O  0.025  0.760  0.814
O  0.084  0.158  0.072
O  0.127  0.434  0.048
O  0.152  0.154  0.785
O  0.202  0.441  0.727
O  0.252  0.646  0.337
O  0.262  0.836  0.985
O  0.321  0.760  0.552
O  0.358  0.025  0.553
O  0.398  0.317  0.296
O  0.416  0.087  0.238
O  0.503  0.423  0.495
O  0.508  0.270  0.830
O  0.586  0.659  0.066
O  0.638  0.633  0.799
O  0.641  0.941  0.024
O  0.692  0.921  0.718
O  0.759  0.336  0.996
O  0.772  0.163  0.313
O  0.863  0.499  0.565
O  0.871  0.265  0.514
O  0.945  0.581  0.233
O  0.947  0.835  0.256

Arrangement ii

VASP calculation (PBE+U) on a relaxed Li5Fe8B8O24 crystal.

Properties
The crystal system is triclinic. The calculation puts the total magnetization at 35.00 μB/cell.

abc: 5.256 5.258 20.204
angles: 89.14 89.97 60.10
Fractional positions:
Li  0.000  0.000  0.000
Li  0.000  0.001  0.503
Li  0.305  0.674  0.636
Li  0.313  0.675  0.132
Li  0.972  0.986  0.253
Fe  0.329  0.335  0.018
Fe  0.329  0.339  0.518
Fe  0.630  0.010  0.892
Fe  0.632  0.009  0.393
Fe  0.636  0.656  0.270
Fe  0.652  0.665  0.765
Fe  0.967  0.328  0.643
Fe  0.969  0.340  0.143
B  0.306  0.332  0.269
B  0.310  0.335  0.767
B  0.640  0.006  0.643
B  0.642  0.004  0.144
B  0.652  0.663  0.019
B  0.653  0.666  0.519
B  0.971  0.342  0.396
B  0.972  0.343  0.894
O  0.048  0.351  0.750
O  0.063  0.305  0.252
O  0.237  0.321  0.912
O  0.240  0.316  0.412
O  0.295  0.596  0.263
O  0.354  0.567  0.759
O  0.380  0.688  0.027
O  0.383  0.687  0.527
O  0.384  0.261  0.625
O  0.393  0.262  0.124
O  0.537  0.066  0.793
O  0.569  0.080  0.290
O  0.619  0.760  0.665
O  0.623  0.756  0.160
O  0.672  0.910  0.496
O  0.673  0.906  0.995
O  0.743  0.609  0.374
O  0.749  0.608  0.868
O  0.906  0.402  0.035
O  0.908  0.406  0.536
O  0.908  0.986  0.639
O  0.911  0.992  0.150
O  0.927  0.111  0.904
O  0.934  0.103  0.403

Quick look at relative energies in meV/atom: arrangement i 11; arrangement ii 0.

Arrangement i

VASP calculation (PBE+U) on a relaxed Li5Fe8B8O24 crystal.

Properties
The crystal system is triclinic. The calculation puts the total magnetization at 35.00 μB/cell.

abc: 5.219 9.118 11.331
angles: 112.35 102.55 90.02
Fractional positions:
Li  0.000  0.000  0.000
Li  0.050  0.030  0.736
Li  0.322  0.274  0.255
Li  0.508  0.504  0.000
Li  0.784  0.746  0.498
Fe  0.042  0.357  0.715
Fe  0.261  0.562  0.475
Fe  0.288  0.919  0.220
Fe  0.506  0.154  0.969
Fe  0.550  0.842  0.728
Fe  0.769  0.066  0.466
Fe  0.794  0.444  0.218
Fe  0.985  0.648  0.968
B  0.049  0.681  0.715
B  0.257  0.884  0.467
B  0.288  0.596  0.215
B  0.500  0.817  0.977
B  0.536  0.183  0.716
B  0.754  0.404  0.472
B  0.784  0.101  0.215
B  0.993  0.307  0.958
O  0.009  0.901  0.487
O  0.045  0.083  0.203
O  0.104  0.168  0.950
O  0.112  0.417  0.921
O  0.133  0.705  0.180
O  0.189  0.497  0.268
O  0.262  0.850  0.019
O  0.277  0.652  0.667
O  0.371  0.974  0.413
O  0.389  0.304  0.710
O  0.413  0.772  0.500
O  0.441  0.066  0.752
O  0.484  0.394  0.451
O  0.534  0.585  0.194
O  0.610  0.926  0.937
O  0.616  0.683  0.972
O  0.644  0.217  0.184
O  0.659  0.005  0.259
O  0.760  0.341  0.001
O  0.789  0.173  0.687
O  0.877  0.517  0.439
O  0.901  0.304  0.518
O  0.919  0.812  0.711
O  0.960  0.578  0.763

Arrangement ii

VASP calculation (PBE+U) on a relaxed Li5Fe8B8O24 crystal.

Properties
The crystal system is triclinic. The calculation puts the total magnetization at 35.00 μB/cell.

abc: 5.272 9.044 11.420
angles: 66.93 77.73 89.82
Fractional positions:
Li  0.000  0.000  0.000
Li  0.073  0.372  0.236
Li  0.259  0.226  0.499
Li  0.507  0.505  0.996
Li  0.820  0.128  0.742
Fe  0.023  0.347  0.966
Fe  0.074  0.728  0.218
Fe  0.281  0.904  0.471
Fe  0.339  0.306  0.715
Fe  0.517  0.848  0.970
Fe  0.584  0.207  0.225
Fe  0.772  0.439  0.459
Fe  0.824  0.801  0.710
B  0.019  0.679  0.962
B  0.086  0.061  0.210
B  0.284  0.580  0.465
B  0.317  0.966  0.717
B  0.540  0.185  0.961
B  0.569  0.549  0.211
B  0.778  0.097  0.473
B  0.828  0.467  0.717
O  0.035  0.419  0.777
O  0.055  0.589  0.420
O  0.119  0.796  0.993
O  0.143  0.538  0.980
O  0.196  0.849  0.693
O  0.199  0.108  0.704
O  0.283  0.042  0.273
O  0.294  0.205  0.932
O  0.391  0.427  0.500
O  0.405  0.701  0.475
O  0.449  0.420  0.201
O  0.467  0.696  0.170
O  0.541  0.107  0.439
O  0.560  0.946  0.750
O  0.641  0.293  0.002
O  0.684  0.065  0.941
O  0.708  0.600  0.714
O  0.740  0.364  0.664
O  0.786  0.696  0.919
O  0.797  0.527  0.261
O  0.887  0.952  0.520
O  0.917  0.240  0.456
O  0.975  0.947  0.182
O  0.987  0.218  0.164

Quick look at relative energies in meV/atom: arrangement i 0; arrangement ii 7.

Arrangement i

VASP calculation (PBE+U) on a relaxed CaMo2O4 crystal.

Properties
The crystal system is monoclinic. The calculation puts the total magnetization at 48.00 μB/cell.

abc: 6.457 6.457 22.196
angles: 101.67 101.67 62.17
Fractional positions:
Ca  0.000  0.000  0.000
Ca  0.001  0.001  0.500
Ca  0.254  0.254  0.126
Ca  0.436  0.436  0.405
Ca  0.498  0.498  0.749
Ca  0.505  0.505  0.250
Ca  0.748  0.748  0.874
Ca  0.935  0.935  0.658
Mo  0.000  0.500  0.000
Mo  0.003  0.498  0.750
Mo  0.004  0.505  0.250
Mo  0.064  0.064  0.844
Mo  0.084  0.084  0.348
Mo  0.253  0.253  0.627
Mo  0.434  0.434  0.906
Mo  0.498  0.003  0.750
Mo  0.500  0.000  0.000
Mo  0.505  0.004  0.250
Mo  0.507  0.999  0.501
Mo  0.566  0.566  0.093
Mo  0.572  0.572  0.597
Mo  0.756  0.756  0.378
Mo  0.941  0.941  0.156
Mo  0.999  0.507  0.501
O  0.084  0.649  0.436
O  0.112  0.638  0.937
O  0.138  0.138  0.203
O  0.140  0.620  0.188
O  0.148  0.148  0.697
O  0.150  0.577  0.685
O  0.154  0.154  0.444
O  0.154  0.154  0.944
O  0.345  0.345  0.808
O  0.350  0.350  0.302
O  0.360  0.360  0.552
O  0.360  0.890  0.064
O  0.362  0.901  0.568
O  0.364  0.364  0.048
O  0.383  0.860  0.812
O  0.407  0.864  0.318
O  0.577  0.150  0.685
O  0.620  0.140  0.188
O  0.637  0.637  0.953
O  0.638  0.112  0.937
O  0.648  0.648  0.448
O  0.649  0.084  0.436
O  0.656  0.656  0.694
O  0.657  0.657  0.194
O  0.846  0.846  0.057
O  0.848  0.848  0.554
O  0.859  0.859  0.304
O  0.860  0.383  0.812
O  0.864  0.407  0.318
O  0.865  0.865  0.797
O  0.890  0.360  0.064
O  0.901  0.362  0.568

Arrangement ii

VASP calculation (PBE+U) on a relaxed CaMo2O4 crystal.

Properties
The crystal system is cubic.

abc: 6.584 6.584 6.584
angles: 60.00 60.00 60.00
Fractional positions:
Ca  0.125  0.125  0.125
Ca  0.875  0.875  0.875
Mo  0.000  0.500  0.500
Mo  0.500  0.000  0.500
Mo  0.500  0.500  0.000
Mo  0.500  0.500  0.500
O  0.265  0.265  0.265
O  0.265  0.265  0.704
O  0.265  0.704  0.265
O  0.296  0.735  0.735
O  0.704  0.265  0.265
O  0.735  0.296  0.735
O  0.735  0.735  0.296
O  0.735  0.735  0.735

Quick look at relative energies in meV/atom: arrangement i 185; arrangement ii 0.